[1]
A relaxed K3Ca2Mg10Si16H4O48 crystal. Source: the Materials Project database, functional PBE.

Values from the calculation:
The calculation puts the total energy at -6.60 eV/atom. Its calculated volume is 12.0 Å³ per atom. The space-group type is P-1 (2). Its energy above the lowest structure with this stoichiometry is 0.0 kJ per mole of atoms. As for the formation energy from the elements: -2.644 eV/atom. Its corrected total energy (MP2020 scheme) is -580.70 eV for the cell shown.

Cell: 8.541 8.603 15.326 Å, 82.38 81.50 63.54°
Element x y z (fractional)
K 0.000 0.000 0.000
K 0.218 0.289 0.601
K 0.782 0.711 0.399
Ca 0.305 0.485 0.180
Ca 0.695 0.515 0.820
Mg 0.039 0.308 0.356
Mg 0.233 0.984 0.478
Mg 0.251 0.435 0.936
Mg 0.337 0.528 0.713
Mg 0.402 0.294 0.371
Mg 0.598 0.706 0.629
Mg 0.663 0.472 0.287
Mg 0.749 0.565 0.064
Mg 0.767 0.016 0.522
Mg 0.961 0.692 0.644
Si 0.138 0.228 0.103
Si 0.159 0.263 0.814
Si 0.177 0.975 0.698
Si 0.206 0.617 0.501
Si 0.249 0.752 0.318
Si 0.268 0.737 0.871
Si 0.345 0.070 0.249
Si 0.398 0.006 0.947
Si 0.602 0.994 0.053
Si 0.655 0.930 0.751
Si 0.732 0.263 0.129
Si 0.751 0.248 0.682
Si 0.794 0.383 0.499
Si 0.823 0.025 0.302
Si 0.841 0.737 0.186
Si 0.862 0.772 0.897
H 0.065 0.603 0.089
H 0.440 0.201 0.251
H 0.560 0.799 0.749
H 0.935 0.397 0.911
O 0.009 0.310 0.491
O 0.019 0.959 0.542
O 0.035 0.940 0.303
O 0.036 0.701 0.128
O 0.085 0.709 0.909
O 0.099 0.653 0.310
O 0.141 0.207 0.213
O 0.167 0.458 0.315
O 0.171 0.400 0.061
O 0.171 0.437 0.769
O 0.224 0.625 0.607
O 0.225 0.099 0.755
O 0.226 0.068 0.039
O 0.248 0.784 0.763
O 0.269 0.753 0.428
O 0.291 0.210 0.894
O 0.293 0.112 0.363
O 0.304 0.872 0.920
O 0.315 0.935 0.607
O 0.335 0.422 0.473
O 0.359 0.868 0.265
O 0.416 0.538 0.887
O 0.416 0.557 0.289
O 0.441 0.064 0.140
O 0.559 0.936 0.860
O 0.584 0.443 0.711
O 0.584 0.462 0.113
O 0.641 0.132 0.735
O 0.665 0.578 0.527
O 0.685 0.065 0.393
O 0.696 0.128 0.080
O 0.707 0.888 0.637
O 0.709 0.790 0.106
O 0.731 0.247 0.572
O 0.752 0.216 0.237
O 0.774 0.932 0.961
O 0.775 0.901 0.245
O 0.776 0.375 0.393
O 0.829 0.563 0.231
O 0.829 0.600 0.939
O 0.833 0.542 0.685
O 0.859 0.793 0.787
O 0.901 0.347 0.690
O 0.915 0.291 0.091
O 0.964 0.299 0.872
O 0.965 0.060 0.697
O 0.981 0.041 0.458
O 0.991 0.690 0.509



[2]
A relaxed Ba2LuBiO6 crystal. Source: the Materials Project database, functional PBE.

Values from the calculation:
The calculation puts the total energy at -6.65 eV/atom. Its calculated volume is 16.0 Å³ per atom. The space-group type is R-3 (148). As for the formation energy from the elements: -2.864 eV/atom. Its corrected total energy (MP2020 scheme) is -70.58 eV for the cell shown.

Cell: 6.090 6.090 6.090 Å, 60.04 60.04 60.04°
Element x y z (fractional)
Ba 0.249 0.249 0.249
Ba 0.751 0.751 0.751
Lu 0.500 0.500 0.500
Bi 0.000 0.000 0.000
O 0.230 0.264 0.754
O 0.246 0.770 0.736
O 0.264 0.754 0.230
O 0.736 0.246 0.770
O 0.754 0.230 0.264
O 0.770 0.736 0.246



[3]
A relaxed Y3PbC crystal. Source: the Materials Project database, functional PBE.

Values from the calculation:
The calculation puts the total energy at -7.04 eV/atom. Its calculated volume is 23.8 Å³ per atom. The space-group type is Pm-3m (221). As for the formation energy from the elements: -0.570 eV/atom.

Cell: 4.920 4.920 4.920 Å, 90.00 90.00 90.00°
Element x y z (fractional)
Y 0.000 0.000 0.500
Y 0.000 0.500 0.000
Y 0.500 0.000 0.000
Pb 0.500 0.500 0.500
C 0.000 0.000 0.000



[4]
A relaxed Tm3AlNi8 crystal. Source: the Materials Project database, functional PBE.

Values from the calculation:
The calculation puts the total energy at -5.79 eV/atom. Its calculated volume is 14.5 Å³ per atom. The space-group type is P6_3/mmc (194). Its energy above the lowest structure with this stoichiometry is 0.0 kJ per mole of atoms. As for the formation energy from the elements: -0.505 eV/atom.

Cell: 5.012 5.012 15.963 Å, 90.00 90.00 120.00°
Element x y z (fractional)
Tm 0.333 0.667 0.041
Tm 0.333 0.667 0.250
Tm 0.333 0.667 0.459
Tm 0.667 0.333 0.541
Tm 0.667 0.333 0.750
Tm 0.667 0.333 0.959
Al 0.333 0.667 0.750
Al 0.667 0.333 0.250
Ni 0.000 0.000 0.000
Ni 0.000 0.000 0.250
Ni 0.000 0.000 0.500
Ni 0.000 0.000 0.750
Ni 0.168 0.336 0.626
Ni 0.168 0.336 0.874
Ni 0.168 0.832 0.626
Ni 0.168 0.832 0.874
Ni 0.336 0.168 0.126
Ni 0.336 0.168 0.374
Ni 0.664 0.832 0.626
Ni 0.664 0.832 0.874
Ni 0.832 0.168 0.126
Ni 0.832 0.168 0.374
Ni 0.832 0.664 0.126
Ni 0.832 0.664 0.374



[5]
A relaxed LiNbP4O12 crystal. Source: the Materials Project database, functional PBE.

Values from the calculation:
The calculation puts the total energy at -7.31 eV/atom. Its calculated volume is 13.2 Å³ per atom. The space-group type is C2/c (15). Its energy above the lowest structure with this stoichiometry is 0.8 kJ per mole of atoms. As for the formation energy from the elements: -2.594 eV/atom. Its corrected total energy (MP2020 scheme) is -279.48 eV for the cell shown.

Cell: 7.469 7.469 10.358 Å, 113.54 113.54 69.84°
Element x y z (fractional)
Li 0.025 0.975 0.750
Li 0.975 0.025 0.250
Nb 0.000 0.500 0.500
Nb 0.500 0.000 0.000
P 0.257 0.727 0.026
P 0.273 0.743 0.474
P 0.304 0.317 0.806
P 0.317 0.304 0.306
P 0.683 0.696 0.694
P 0.696 0.683 0.194
P 0.727 0.257 0.526
P 0.743 0.273 0.974
O 0.094 0.839 0.091
O 0.131 0.286 0.321
O 0.161 0.906 0.409
O 0.192 0.700 0.571
O 0.200 0.352 0.658
O 0.225 0.503 0.932
O 0.286 0.131 0.821
O 0.300 0.808 0.929
O 0.317 0.534 0.345
O 0.352 0.200 0.158
O 0.466 0.683 0.155
O 0.497 0.775 0.568
O 0.503 0.225 0.432
O 0.534 0.317 0.845
O 0.648 0.800 0.842
O 0.683 0.466 0.655
O 0.700 0.192 0.071
O 0.714 0.869 0.179
O 0.775 0.497 0.068
O 0.800 0.648 0.342
O 0.808 0.300 0.429
O 0.839 0.094 0.591
O 0.869 0.714 0.679
O 0.906 0.161 0.909



[6]
A relaxed SrLaI5 crystal. Source: the Materials Project database, functional PBE.

Values from the calculation:
The calculation puts the total energy at -3.60 eV/atom. Its calculated volume is 43.6 Å³ per atom. The space-group type is P2_1/m (11). Its energy above the lowest structure with this stoichiometry is 1.9 kJ per mole of atoms. As for the formation energy from the elements: -1.840 eV/atom. Its corrected total energy (MP2020 scheme) is -54.25 eV for the cell shown.

Cell: 8.699 4.614 15.220 Å, 90.00 92.78 90.00°
Element x y z (fractional)
Sr 0.047 0.250 0.354
Sr 0.953 0.750 0.646
La 0.447 0.750 0.159
La 0.553 0.250 0.841
I 0.172 0.250 0.121
I 0.181 0.250 0.737
I 0.201 0.750 0.482
I 0.349 0.750 0.935
I 0.452 0.250 0.314
I 0.548 0.750 0.686
I 0.651 0.250 0.065
I 0.799 0.250 0.518
I 0.819 0.750 0.263
I 0.828 0.750 0.879